(A)
# Fe5P3O13

An optimized crystal structure of Fe5P3O13 (PBE with a Hubbard U, the Materials Project).

Computed properties:
magnetic moment: 42.00 Bohr magnetons per cell

a b c (Å): 6.2358 8.5343 9.6392
angles (deg): 94.89 90.61 90.02
Positions (direct):
Fe  0.0051  0.3742  0.2273
Fe  0.2465  0.0827  0.1203
Fe  0.2499  0.2614  0.5596
Fe  0.2529  0.3346  0.8982
Fe  0.4833  0.3751  0.2308
Fe  0.5167  0.6249  0.7692
Fe  0.7471  0.6654  0.1017
Fe  0.7501  0.7386  0.4404
Fe  0.7535  0.9173  0.8797
Fe  0.9949  0.6258  0.7727
P  0.2479  0.6083  0.4802
P  0.2480  0.6766  0.0870
P  0.2555  0.9720  0.7634
P  0.7445  0.0280  0.2366
P  0.7520  0.3234  0.9130
P  0.7521  0.3917  0.5198
O  0.0447  0.6072  0.1533
O  0.0490  0.8675  0.7706
O  0.0517  0.7090  0.4551
O  0.2422  0.4492  0.3818
O  0.2430  0.3136  0.0961
O  0.2445  0.8543  0.1096
O  0.2475  0.5548  0.6343
O  0.2523  0.6171  0.9281
O  0.2571  0.0562  0.6303
O  0.2577  0.0934  0.8946
O  0.4522  0.6086  0.1569
O  0.4523  0.6995  0.4599
O  0.4604  0.8656  0.7725
O  0.5396  0.1344  0.2275
O  0.5477  0.3005  0.5401
O  0.5478  0.3914  0.8431
O  0.7423  0.9066  0.1054
O  0.7429  0.9438  0.3697
O  0.7477  0.3829  0.0719
O  0.7525  0.4452  0.3657
O  0.7555  0.1457  0.8904
O  0.7570  0.6864  0.9039
O  0.7578  0.5508  0.6182
O  0.9483  0.2910  0.5449
O  0.9510  0.1325  0.2294
O  0.9553  0.3928  0.8467



(B)
# Fe5P3O13

An optimized crystal structure of Fe5P3O13 (PBE with a Hubbard U, the Materials Project).

Computed properties:
magnetic moment: 42.00 Bohr magnetons per cell

a b c (Å): 8.5482 6.3214 9.8476
angles (deg): 90.00 94.79 90.00
Positions (direct):
Fe  0.0856  0.2500  0.1162
Fe  0.2676  0.2500  0.5578
Fe  0.3458  0.2500  0.9089
Fe  0.3859  0.0006  0.2337
Fe  0.3859  0.4994  0.2337
Fe  0.6141  0.5006  0.7663
Fe  0.6141  0.9994  0.7663
Fe  0.6542  0.7500  0.0911
Fe  0.7324  0.7500  0.4422
Fe  0.9144  0.7500  0.8838
P  0.0217  0.7500  0.2221
P  0.3184  0.7500  0.9162
P  0.3899  0.7500  0.5197
P  0.6101  0.2500  0.4803
P  0.6816  0.2500  0.0838
P  0.9783  0.2500  0.7779
O  0.0687  0.2500  0.6521
O  0.0949  0.2500  0.9107
O  0.1249  0.5464  0.2145
O  0.1249  0.9536  0.2145
O  0.1380  0.7500  0.8995
O  0.2917  0.5543  0.5382
O  0.2917  0.9457  0.5382
O  0.3084  0.2500  0.1113
O  0.3811  0.7500  0.0706
O  0.3825  0.5477  0.8492
O  0.3825  0.9523  0.8492
O  0.4492  0.7500  0.3686
O  0.4527  0.2500  0.3836
O  0.5473  0.7500  0.6164
O  0.5508  0.2500  0.6314
O  0.6175  0.0477  0.1508
O  0.6175  0.4523  0.1508
O  0.6189  0.2500  0.9294
O  0.6916  0.7500  0.8887
O  0.7083  0.0543  0.4618
O  0.7083  0.4457  0.4618
O  0.8620  0.2500  0.1005
O  0.8751  0.0464  0.7855
O  0.8751  0.4536  0.7855
O  0.9051  0.7500  0.0893
O  0.9313  0.7500  0.3479



The most stable arrangement is (B), and the next structure is 2.8 kJ/mol of atoms less stable.



(A)
# Fe7P4O20

An optimized crystal structure of Fe7P4O20 (PBE with a Hubbard U, the Materials Project).

Computed properties:
magnetic moment: 68.00 Bohr magnetons per cell

a b c (Å): 7.3692 15.2137 7.4073
angles (deg): 90.00 118.06 90.00
Positions (direct):
Fe  0.0000  0.0000  0.0000
Fe  0.0000  0.5000  0.5000
Fe  0.2193  0.1130  0.7290
Fe  0.2193  0.3870  0.2290
Fe  0.2606  0.6268  0.7528
Fe  0.2606  0.8732  0.2528
Fe  0.4884  0.2488  0.9855
Fe  0.4884  0.2512  0.4855
Fe  0.5116  0.7488  0.5145
Fe  0.5116  0.7512  0.0145
Fe  0.7394  0.1268  0.7472
Fe  0.7394  0.3732  0.2472
Fe  0.7807  0.6130  0.7710
Fe  0.7807  0.8870  0.2710
P  0.0058  0.6894  0.2472
P  0.0058  0.8106  0.7472
P  0.4983  0.0626  0.2425
P  0.4983  0.4374  0.7425
P  0.5017  0.5626  0.2575
P  0.5017  0.9374  0.7575
P  0.9942  0.1894  0.2528
P  0.9942  0.3106  0.7528
O  0.0034  0.5720  0.7218
O  0.0034  0.9280  0.2218
O  0.0456  0.1347  0.4415
O  0.0456  0.3653  0.9415
O  0.0687  0.6269  0.4328
O  0.0687  0.8731  0.9328
O  0.1785  0.2502  0.2895
O  0.1785  0.2498  0.7895
O  0.1970  0.7501  0.3081
O  0.1970  0.7499  0.8081
O  0.3085  0.0036  0.1997
O  0.3085  0.4964  0.6997
O  0.3200  0.5040  0.2158
O  0.3200  0.9960  0.7158
O  0.4329  0.1239  0.0539
O  0.4329  0.3761  0.5539
O  0.4489  0.6231  0.0688
O  0.4489  0.8769  0.5688
O  0.4903  0.1848  0.7413
O  0.4903  0.3152  0.2413
O  0.5097  0.6848  0.7587
O  0.5097  0.8152  0.2587
O  0.5511  0.1231  0.4312
O  0.5511  0.3769  0.9312
O  0.5671  0.6239  0.4461
O  0.5671  0.8761  0.9461
O  0.6800  0.0040  0.2842
O  0.6800  0.4960  0.7842
O  0.6915  0.5036  0.3003
O  0.6915  0.9964  0.8003
O  0.8030  0.2501  0.1919
O  0.8030  0.2499  0.6919
O  0.8215  0.7502  0.2105
O  0.8215  0.7498  0.7105
O  0.9313  0.1269  0.0672
O  0.9313  0.3731  0.5672
O  0.9544  0.6347  0.0585
O  0.9544  0.8653  0.5585
O  0.9966  0.0720  0.7782
O  0.9966  0.4280  0.2782



(B)
# Fe7P4O20

An optimized crystal structure of Fe7P4O20 (PBE with a Hubbard U, the Materials Project).

Computed properties:
magnetic moment: 34.00 Bohr magnetons per cell

a b c (Å): 7.3500 7.4179 7.5989
angles (deg): 90.60 91.10 117.94
Positions (direct):
Fe  0.0000  0.0000  0.0000
Fe  0.0000  0.5000  0.0000
Fe  0.2448  0.2524  0.7562
Fe  0.2775  0.7691  0.2762
Fe  0.5000  0.5000  0.5000
Fe  0.7225  0.2309  0.7238
Fe  0.7552  0.7476  0.2438
P  0.9996  0.2563  0.3730
P  0.0004  0.7437  0.6270
P  0.4903  0.7574  0.8789
P  0.5097  0.2426  0.1211
O  0.0005  0.2594  0.8649
O  0.9995  0.7406  0.1351
O  0.0567  0.9405  0.7396
O  0.0648  0.4381  0.2459
O  0.1800  0.7771  0.5105
O  0.1918  0.3039  0.4939
O  0.3064  0.6993  0.0005
O  0.3193  0.2054  0.0021
O  0.4318  0.5722  0.7498
O  0.4574  0.0536  0.2276
O  0.5003  0.2837  0.6465
O  0.4997  0.7163  0.3535
O  0.5426  0.9464  0.7724
O  0.5682  0.4278  0.2502
O  0.6807  0.7946  0.9979
O  0.6936  0.3007  0.9995
O  0.8082  0.6961  0.5061
O  0.8200  0.2229  0.4895
O  0.9352  0.5619  0.7541
O  0.9433  0.0595  0.2604



The most stable arrangement is (B), and the next structure is 1.5 kJ/mol of atoms less stable.



(A)
# Fe4P3O12

An optimized crystal structure of Fe4P3O12 (PBE with a Hubbard U, the Materials Project).

Computed properties:
magnetic moment: 34.00 Bohr magnetons per cell

a b c (Å): 8.8533 8.8533 6.5625
angles (deg): 106.87 106.87 92.77
Positions (direct):
Fe  0.0032  0.9968  0.5000
Fe  0.1421  0.4296  0.6234
Fe  0.2510  0.7420  0.4930
Fe  0.4296  0.1421  0.1234
Fe  0.5556  0.8643  0.3577
Fe  0.7420  0.2510  0.9930
Fe  0.8643  0.5556  0.8577
Fe  0.9968  0.0032  0.0000
P  0.1369  0.3754  0.1088
P  0.2052  0.7842  0.9920
P  0.3754  0.1369  0.6088
P  0.6267  0.8405  0.8693
P  0.7842  0.2052  0.4920
P  0.8405  0.6267  0.3693
O  0.0264  0.7631  0.9919
O  0.0737  0.4597  0.9275
O  0.1679  0.4988  0.3446
O  0.2215  0.9637  0.0021
O  0.2297  0.6776  0.7774
O  0.2380  0.9994  0.5681
O  0.2846  0.3044  0.0803
O  0.3044  0.2846  0.5803
O  0.3187  0.7571  0.2045
O  0.4597  0.0737  0.4275
O  0.4988  0.1679  0.8446
O  0.5056  0.8255  0.6347
O  0.5418  0.8862  0.0509
O  0.6776  0.2297  0.2774
O  0.6828  0.6935  0.3595
O  0.6935  0.6828  0.8595
O  0.7571  0.3187  0.7045
O  0.7631  0.0264  0.4919
O  0.7643  0.9788  0.9275
O  0.8255  0.5056  0.1347
O  0.8862  0.5418  0.5509
O  0.9637  0.2215  0.5021
O  0.9788  0.7643  0.4275
O  0.9994  0.2380  0.0681



(B)
# Fe4P3O12

An optimized crystal structure of Fe4P3O12 (PBE with a Hubbard U, the Materials Project).

Computed properties:
magnetic moment: 34.00 Bohr magnetons per cell

a b c (Å): 8.7214 8.7214 6.5849
angles (deg): 106.18 106.18 92.87
Positions (direct):
Fe  0.0049  0.9951  0.7500
Fe  0.1388  0.4436  0.8805
Fe  0.2536  0.7464  0.7500
Fe  0.4436  0.1388  0.3805
Fe  0.5564  0.8612  0.6195
Fe  0.7464  0.2536  0.2500
Fe  0.8612  0.5564  0.1195
Fe  0.9951  0.0049  0.2500
P  0.1509  0.3778  0.3712
P  0.2082  0.7918  0.2500
P  0.3778  0.1509  0.8712
P  0.6222  0.8491  0.1288
P  0.7918  0.2082  0.7500
P  0.8491  0.6222  0.6288
O  0.0107  0.2391  0.3286
O  0.0257  0.7709  0.2379
O  0.0929  0.4607  0.1886
O  0.1734  0.5022  0.6034
O  0.2291  0.9743  0.2621
O  0.2391  0.0107  0.8286
O  0.2391  0.6859  0.0378
O  0.3072  0.3085  0.3670
O  0.3085  0.3072  0.8670
O  0.3141  0.7609  0.4622
O  0.4607  0.0929  0.6886
O  0.4978  0.8266  0.8966
O  0.5022  0.1734  0.1034
O  0.5393  0.9071  0.3114
O  0.6859  0.2391  0.5378
O  0.6915  0.6928  0.1330
O  0.6928  0.6915  0.6330
O  0.7609  0.3141  0.9622
O  0.7609  0.9893  0.1714
O  0.7709  0.0257  0.7379
O  0.8266  0.4978  0.3966
O  0.9071  0.5393  0.8114
O  0.9743  0.2291  0.7621
O  0.9893  0.7609  0.6714



The most stable arrangement is (A), and the next structure is 2.5 kJ/mol of atoms less stable.



(A)
# ZnFePO5

An optimized crystal structure of ZnFePO5 (PBE with a Hubbard U, the Materials Project).

Computed properties:
magnetic moment: 80.00 Bohr magnetons per cell

a b c (Å): 9.7529 12.8799 12.0813
angles (deg): 90.00 107.75 90.00
Positions (direct):
Zn  0.0400  0.1804  0.4121
Zn  0.0400  0.3196  0.9121
Zn  0.1996  0.0113  0.6968
Zn  0.1996  0.4887  0.1968
Zn  0.2957  0.2399  0.8063
Zn  0.2957  0.2601  0.3063
Zn  0.4548  0.5696  0.0947
Zn  0.4548  0.9304  0.5947
Zn  0.5452  0.0696  0.4053
Zn  0.5452  0.4304  0.9053
Zn  0.7043  0.7399  0.6937
Zn  0.7043  0.7601  0.1937
Zn  0.8004  0.5113  0.8032
Zn  0.8004  0.9887  0.3032
Zn  0.9600  0.6804  0.0879
Zn  0.9600  0.8196  0.5879
Fe  0.0197  0.6784  0.3790
Fe  0.0197  0.8216  0.8790
Fe  0.2215  0.0072  0.1996
Fe  0.2215  0.4928  0.6996
Fe  0.2835  0.7403  0.3021
Fe  0.2835  0.7597  0.8021
Fe  0.4781  0.0695  0.1134
Fe  0.4781  0.4305  0.6134
Fe  0.5219  0.5695  0.3866
Fe  0.5219  0.9305  0.8866
Fe  0.7165  0.2403  0.1979
Fe  0.7165  0.2597  0.6979
Fe  0.7785  0.5072  0.3004
Fe  0.7785  0.9928  0.8004
Fe  0.9803  0.1784  0.1210
Fe  0.9803  0.3216  0.6210
P  0.1151  0.0775  0.9269
P  0.1151  0.4225  0.4269
P  0.1209  0.5735  0.9225
P  0.1209  0.9265  0.4225
P  0.3796  0.1735  0.5746
P  0.3796  0.3265  0.0746
P  0.3813  0.6780  0.5783
P  0.3813  0.8220  0.0783
P  0.6187  0.1780  0.9217
P  0.6187  0.3220  0.4217
P  0.6204  0.6735  0.9254
P  0.6204  0.8265  0.4254
P  0.8791  0.0735  0.5775
P  0.8791  0.4265  0.0775
P  0.8849  0.5775  0.5731
P  0.8849  0.9225  0.0731
O  0.0109  0.5157  0.3806
O  0.0109  0.9843  0.8806
O  0.0162  0.0204  0.3845
O  0.0162  0.4796  0.8845
O  0.0244  0.1634  0.9622
O  0.0244  0.3366  0.4622
O  0.0236  0.6678  0.9323
O  0.0236  0.8322  0.4323
O  0.0839  0.7079  0.2459
O  0.0839  0.7921  0.7459
O  0.1732  0.1521  0.2179
O  0.1732  0.3479  0.7179
O  0.1740  0.1131  0.8280
O  0.1740  0.3869  0.3280
O  0.2006  0.5919  0.8303
O  0.2006  0.9081  0.3303
O  0.2347  0.5543  0.0422
O  0.2347  0.9457  0.5422
O  0.2412  0.0421  0.0342
O  0.2412  0.4579  0.5342
O  0.2561  0.2043  0.4645
O  0.2561  0.2957  0.9645
O  0.2620  0.7079  0.4641
O  0.2620  0.7921  0.9641
O  0.3056  0.6559  0.6721
O  0.3056  0.8441  0.1721
O  0.3186  0.1407  0.6739
O  0.3186  0.3593  0.1739
O  0.3278  0.5930  0.2905
O  0.3278  0.9070  0.7905
O  0.4205  0.0414  0.2485
O  0.4205  0.4586  0.7485
O  0.4708  0.0854  0.5463
O  0.4708  0.4146  0.0463
O  0.4719  0.5837  0.5557
O  0.4719  0.9163  0.0557
O  0.4834  0.2312  0.1156
O  0.4834  0.2688  0.6156
O  0.4890  0.7311  0.1207
O  0.4890  0.7689  0.6207
O  0.5110  0.2311  0.3793
O  0.5110  0.2689  0.8793
O  0.5166  0.7312  0.3844
O  0.5166  0.7688  0.8844
O  0.5281  0.0837  0.9443
O  0.5281  0.4163  0.4443
O  0.5292  0.5854  0.9537
O  0.5292  0.9146  0.4537
O  0.5795  0.5414  0.2515
O  0.5795  0.9586  0.7515
O  0.6722  0.0930  0.2095
O  0.6722  0.4070  0.7095
O  0.6814  0.6407  0.8261
O  0.6814  0.8593  0.3261
O  0.6944  0.1559  0.8279
O  0.6944  0.3441  0.3279
O  0.7380  0.2079  0.0359
O  0.7380  0.2921  0.5359
O  0.7439  0.7043  0.0355
O  0.7439  0.7957  0.5355
O  0.7588  0.5421  0.4658
O  0.7588  0.9579  0.9658
O  0.7653  0.0543  0.4578
O  0.7653  0.4457  0.9578
O  0.7994  0.0919  0.6697
O  0.7994  0.4081  0.1697
O  0.8260  0.6131  0.6720
O  0.8260  0.8869  0.1720
O  0.8268  0.6521  0.2821
O  0.8268  0.8479  0.7821
O  0.9161  0.2079  0.2541
O  0.9161  0.2921  0.7541
O  0.9764  0.1678  0.5677
O  0.9764  0.3322  0.0677
O  0.9756  0.6634  0.5378
O  0.9756  0.8366  0.0378
O  0.9838  0.5204  0.1155
O  0.9838  0.9796  0.6155
O  0.9891  0.0157  0.1194
O  0.9891  0.4843  0.6194



(B)
# ZnFePO5

An optimized crystal structure of ZnFePO5 (PBE with a Hubbard U, the Materials Project).

Computed properties:
magnetic moment: 10.00 Bohr magnetons per cell

a b c (Å): 5.4692 5.4873 7.2087
angles (deg): 107.90 107.88 95.32
Positions (direct):
Zn  0.0000  0.0000  0.0000
Zn  0.3835  0.6496  0.5107
Fe  0.6814  0.3180  0.2318
Fe  0.6848  0.3142  0.7314
P  0.0280  0.9561  0.4787
P  0.3319  0.6699  0.9806
O  0.0263  0.6141  0.8660
O  0.3327  0.0246  0.6027
O  0.3838  0.9741  0.0968
O  0.4071  0.5246  0.1345
O  0.4767  0.6051  0.8229
O  0.5942  0.4013  0.4811
O  0.7703  0.2299  0.9816
O  0.8731  0.0240  0.6273
O  0.9560  0.0907  0.3153
O  0.9886  0.6517  0.3722



The most stable arrangement is (A), and the next structure is 1.0 kJ/mol of atoms less stable.